No. 1
## ZrUO4 (GGA-PBE)

Data for a geometry-optimized ZrUO4 structure.

Values from the calculation:
- Total energy: -59.0 eV per cell
- E_form: -22.164 eV per formula unit
- Magnetic moment: 0.33 μB/atom
- Calculated volume: 12.4 Å³/atom
- Symmetry: No. 166

Geometry as extended XYZ:
```
6
Lattice="6.1711 -1.8769 0.0000 6.1711 1.8769 0.0000 5.6003 0.0000 3.2004" Properties=species:S:1:pos:R:3 pbc="T T T"
Zr 8.9713 0.0000 1.6002
U 0.0000 0.0000 0.0000
O 11.1529 0.0000 1.9893
O 2.3092 0.0000 0.4119
O 15.6333 0.0000 2.7885
O 6.7896 0.0000 1.2111
```

No. 2
## In (GGA-PBE)

Data for a geometry-optimized In structure.

Values from the calculation:
- Total energy: -10.8 eV per cell
- E_form: 0.050 eV per formula unit
- Calculated volume: 27.3 Å³/atom
- Offset from the most stable computed form: 4.8 kJ/mol of atoms
- Symmetry: No. 194

Geometry as extended XYZ:
```
4
Lattice="-2.7426 -0.0970 2.0467 1.8702 -2.8252 -0.4910 6.1702 2.6260 8.3925" Properties=species:S:1:pos:R:3 pbc="T T T"
In 0.0000 0.0000 0.0000
In 1.8751 -1.2593 2.4530
In 3.0851 1.3130 4.1962
In 3.4226 0.9631 7.4952
```

No. 3
## NdSi3Ru (GGA-PBE)

Data for a geometry-optimized NdSi3Ru structure.

Values from the calculation:
- Total energy: -33.8 eV per cell
- E_form: -3.469 eV per formula unit
- Calculated volume: 17.9 Å³/atom
- Symmetry: No. 107

Geometry as extended XYZ:
```
5
Lattice="-2.1182 2.1182 4.9728 2.1182 -2.1182 4.9728 2.1182 2.1182 -4.9728" Properties=species:S:1:pos:R:3 pbc="T T T"
Nd 0.0000 0.0000 9.9365
Si 0.0000 0.0000 4.1573
Si 2.1182 0.0000 2.5954
Si 0.0000 2.1182 2.5954
Ru 0.0000 0.0000 6.5146
```

No. 4
## InRhO3 (GGA-PBE)

Data for a geometry-optimized InRhO3 structure.

Values from the calculation:
- Total energy: -243.4 eV per cell
- E_form: -7.532 eV per formula unit
- Magnetic moment: 0.00 μB/atom
- Calculated volume: 11.5 Å³/atom
- Symmetry: No. 14

Geometry as extended XYZ:
```
40
Lattice="-5.2325 -3.2539 -4.6320 0.9548 -6.7247 3.6454 -4.6649 -4.6598 8.5431" Properties=species:S:1:pos:R:3 pbc="T T T"
In -6.7809 -9.5243 4.7960
In -4.5029 -7.2283 0.4762
In -2.1617 -5.1141 2.7605
In -4.4396 -7.4101 7.0803
In -4.8420 -3.7453 -1.3176
In -7.3402 -6.1783 2.8073
In -4.1005 -10.8931 8.8740
In -1.6024 -8.4601 4.7492
Rh -4.9487 -3.9568 1.9556
Rh 0.0000 0.0000 0.0000
Rh -2.1388 -4.9893 -0.4933
Rh -1.8550 -5.6923 6.0942
Rh -2.6162 -1.6269 -2.3160
Rh -2.3324 -2.3299 4.2715
Rh -4.4713 -7.3192 3.7782
Rh 0.4774 -3.3624 1.8227
O -8.9491 -9.6759 4.4216
O -4.2809 -5.8934 2.2178
O 0.0066 -4.9625 3.1349
O -4.6617 -8.7450 5.3387
O -3.5724 -4.6138 6.7687
O -3.4419 -3.6532 0.5479
O -5.3702 -10.0246 0.7878
O -5.5007 -10.9852 7.0085
O -5.2562 -10.8902 3.9339
O -7.5621 -13.2036 8.2289
O -3.6863 -3.7482 3.6226
O -1.3804 -1.4348 -0.6724
O -1.4484 -2.9672 2.4879
O -5.3916 -6.2987 5.3336
O -7.4941 -11.6712 5.0686
O -3.5510 -8.3397 2.2228
O -6.3216 -8.1010 3.2194
O -3.9964 -5.7757 -1.0586
O -2.6210 -6.5374 4.3371
O -4.9461 -8.8627 8.6151
O -6.6245 -7.0018 0.8271
O -7.3634 -8.3408 6.5092
O -2.3181 -7.6366 6.7294
O -1.5791 -6.2976 1.0473
```

No. 5
## CdP4 (GGA-PBE)

Data for a geometry-optimized CdP4 structure.

Values from the calculation:
- Total energy: -45.8 eV per cell
- E_form: -0.311 eV per formula unit
- Calculated volume: 21.1 Å³/atom
- Symmetry: No. 14

Geometry as extended XYZ:
```
10
Lattice="-5.2035 0.0000 0.0000 0.0000 -5.3320 0.0000 0.0000 1.2222 7.6119" Properties=species:S:1:pos:R:3 pbc="T T T"
Cd -2.6018 0.6111 3.8060
Cd 0.0000 0.0000 0.0000
P -2.0747 -2.1033 6.8459
P -4.6765 -1.3955 4.5720
P -3.7087 -3.0159 5.6931
P -1.1069 -0.4828 5.7247
P -1.4948 -1.0939 1.9188
P -4.0966 -3.6270 1.8872
P -0.5270 -2.7144 3.0400
P -3.1288 -2.0065 0.7660
```

No. 6
## YCBr (GGA-PBE)

Data for a geometry-optimized YCBr structure.

Values from the calculation:
- Total energy: -41.1 eV per cell
- E_form: -3.774 eV per formula unit
- Calculated volume: 22.5 Å³/atom
- Offset from the most stable computed form: 0.0 kJ/mol of atoms
- Symmetry: No. 12

Geometry as extended XYZ:
```
6
Lattice="1.9234 3.5406 0.0000 -1.9234 3.5406 0.0000 0.0000 1.6874 9.9014" Properties=species:S:1:pos:R:3 pbc="T T T"
Y 0.0000 4.3264 8.4721
Y 0.0000 4.4421 1.4294
C 0.0000 2.2458 9.5354
C 0.0000 6.5228 0.3661
Br 0.0000 6.7657 6.5933
Br 0.0000 2.0028 3.3081
```

No. 7
## CaCeMg2 (GGA-PBE)

Data for a geometry-optimized CaCeMg2 structure.

Values from the calculation:
- Total energy: -11.1 eV per cell
- E_form: 0.027 eV per formula unit
- Magnetic moment: 0.33 μB/atom
- Calculated volume: 30.4 Å³/atom
- Symmetry: No. 225

Geometry as extended XYZ:
```
4
Lattice="0.0000 3.9332 3.9332 3.9332 0.0000 3.9332 3.9332 3.9332 0.0000" Properties=species:S:1:pos:R:3 pbc="T T T"
Ca 0.0000 0.0000 0.0000
Ce 3.9332 3.9332 3.9332
Mg 1.9666 1.9666 1.9666
Mg 5.8998 5.8998 5.8998
```

No. 8
## InAg (GGA-PBE)

Data for a geometry-optimized InAg structure.

Values from the calculation:
- Total energy: -5.5 eV per cell
- E_form: 0.097 eV per formula unit
- Calculated volume: 21.6 Å³/atom
- Symmetry: No. 221

Geometry as extended XYZ:
```
2
Lattice="3.5102 0.0000 0.0000 0.0000 3.5102 0.0000 0.0000 0.0000 3.5102" Properties=species:S:1:pos:R:3 pbc="T T T"
In 1.7551 1.7551 1.7551
Ag 0.0000 0.0000 0.0000
```

No. 9
## Ho2ReB6 (GGA-PBE)

Data for a geometry-optimized Ho2ReB6 structure.

Values from the calculation:
- Total energy: -270.0 eV per cell
- E_form: -5.803 eV per formula unit
- Calculated volume: 10.8 Å³/atom
- Symmetry: No. 55

Geometry as extended XYZ:
```
36
Lattice="3.6677 0.0000 0.0000 0.0000 9.1592 0.0000 0.0000 0.0000 11.5448" Properties=species:S:1:pos:R:3 pbc="T T T"
Ho 0.0000 2.9687 4.7780
Ho 0.0000 6.1905 6.7669
Ho 0.0000 7.5484 0.9944
Ho 0.0000 1.6109 10.5504
Ho 0.0000 8.6431 4.2719
Ho 0.0000 0.5162 7.2730
Ho 0.0000 4.0634 1.5006
Ho 0.0000 5.0958 10.0443
Re 0.0000 5.8503 3.7053
Re 0.0000 3.3090 7.8395
Re 0.0000 1.2706 2.0671
Re 0.0000 7.8886 9.4778
B 1.8339 5.0687 4.9990
B 1.8339 4.0905 6.5458
B 1.8339 0.4891 0.7734
B 1.8339 8.6702 10.7714
B 1.8339 6.8685 4.8407
B 1.8339 2.2907 6.7042
B 1.8339 2.2889 0.9317
B 1.8339 6.8704 10.6131
B 1.8339 7.2614 3.0695
B 1.8339 1.8979 8.4753
B 1.8339 2.6817 2.7029
B 1.8339 6.4775 8.8419
B 1.8339 5.7848 2.1433
B 1.8339 3.3744 9.4015
B 1.8339 1.2052 3.6291
B 1.8339 7.9540 7.9157
B 1.8339 9.0019 2.4500
B 1.8339 0.1574 9.0948
B 1.8339 4.4223 3.3224
B 1.8339 4.7370 8.2224
B 1.8339 5.4970 0.3232
B 1.8339 3.6623 11.2216
B 1.8339 0.9174 5.4492
B 1.8339 8.2419 6.0957
```

No. 10
## KLi2O3 (GGA-PBE)

Data for a geometry-optimized KLi2O3 structure.

Values from the calculation:
- Total energy: -54.4 eV per cell
- E_form: -7.895 eV per formula unit
- Magnetic moment: 0.17 μB/atom
- Calculated volume: 13.4 Å³/atom
- Symmetry: No. 11

Geometry as extended XYZ:
```
12
Lattice="-3.3222 -2.6160 4.7546 5.6006 1.7193 0.4968 -1.5769 4.7068 1.4879" Properties=species:S:1:pos:R:3 pbc="T T T"
K -0.9648 3.2178 2.3347
K 1.6663 0.5923 4.4046
Li 2.3421 2.9553 2.0475
Li -2.4098 3.1508 5.4175
Li -1.6406 0.8548 4.6917
Li 3.1113 0.6594 1.3218
O 1.6483 1.7443 0.7413
O -0.9468 2.0659 5.9980
O 4.0772 2.0402 2.3793
O -3.3757 1.7699 4.3600
O 1.4271 3.5811 3.7208
O -0.7256 0.2291 3.0185
```

No. 11
## BiSe (GGA-PBE)

Data for a geometry-optimized BiSe structure.

Values from the calculation:
- Total energy: -48.1 eV per cell
- E_form: -1.103 eV per formula unit
- Calculated volume: 31.6 Å³/atom
- Offset from the most stable computed form: 0.0 kJ/mol of atoms
- Symmetry: No. 164

Geometry as extended XYZ:
```
12
Lattice="-2.1292 -3.6878 0.0000 -2.1292 3.6878 0.0000 0.0000 0.0000 -24.1594" Properties=species:S:1:pos:R:3 pbc="T T T"
Bi -2.1292 -1.2293 -12.9756
Bi -2.1292 1.2293 -11.1838
Bi -2.1292 -1.2293 -6.9098
Bi -2.1292 1.2293 -17.2496
Bi 0.0000 0.0000 -3.1047
Bi 0.0000 0.0000 -21.0547
Se 0.0000 0.0000 -8.4730
Se 0.0000 0.0000 -15.6864
Se -2.1292 -1.2293 -19.1269
Se -2.1292 1.2293 -5.0325
Se -2.1292 -1.2293 -1.5866
Se -2.1292 1.2293 -22.5728
```

No. 12
## CsAuS (GGA-PBE)

Data for a geometry-optimized CsAuS structure.

Values from the calculation:
- Total energy: -21.3 eV per cell
- E_form: -2.833 eV per formula unit
- Calculated volume: 36.1 Å³/atom
- Symmetry: No. 63

Geometry as extended XYZ:
```
6
Lattice="3.5666 -4.3330 0.0000 3.5666 4.3330 0.0000 0.0000 0.0000 7.0051" Properties=species:S:1:pos:R:3 pbc="T T T"
Cs 3.5666 -1.1273 5.2538
Cs 3.5666 1.1273 1.7513
Au 0.0000 0.0000 0.0000
Au 0.0000 0.0000 3.5025
S 3.5666 2.7826 5.2538
S 3.5666 -2.7826 1.7513
```

No. 13
## La10Se19 (GGA-PBE)

Data for a geometry-optimized La10Se19 structure.

Values from the calculation:
- Total energy: -336.6 eV per cell
- E_form: -61.503 eV per formula unit
- Calculated volume: 26.8 Å³/atom
- Symmetry: No. 86

Geometry as extended XYZ:
```
58
Lattice="9.5044 0.0000 0.0000 0.0000 9.5044 0.0000 0.0000 0.0000 17.2210" Properties=species:S:1:pos:R:3 pbc="T T T"
La 0.0000 4.7522 14.9072
La 0.0000 4.7522 6.2967
La 4.7522 0.0000 10.9244
La 4.7522 0.0000 2.3139
La 2.8846 3.7896 11.1268
La 0.9626 7.6368 2.5162
La 8.5418 1.8676 2.5162
La 6.6198 5.7149 11.1268
La 1.8676 0.9626 14.7048
La 3.7896 6.6198 6.0943
La 5.7149 2.8846 6.0943
La 7.6368 8.5418 14.7048
La 1.9595 0.9211 6.3665
La 3.8311 6.7117 14.9770
La 5.6733 2.7927 14.9770
La 7.5450 8.5834 6.3665
La 2.7927 3.8311 2.2441
La 0.9211 7.5450 10.8546
La 8.5834 1.9595 10.8546
La 6.7117 5.6733 2.2441
Se 4.7522 0.0000 14.0509
Se 4.7522 0.0000 5.4403
Se 0.0000 4.7522 11.7807
Se 0.0000 4.7522 3.1702
Se 5.7108 2.8748 11.8156
Se 1.8774 0.9586 3.2051
Se 7.6271 8.5458 3.2051
Se 3.7936 6.6296 11.8156
Se 8.5458 1.8774 14.0159
Se 2.8748 3.7936 5.4054
Se 6.6296 5.7108 5.4054
Se 0.9586 7.6271 14.0159
Se 1.9157 0.9301 11.6545
Se 3.8221 6.6680 3.0440
Se 5.6824 2.8365 3.0440
Se 7.5887 8.5743 11.6545
Se 2.8365 3.8221 14.1770
Se 0.9301 7.5887 5.5665
Se 8.5743 1.9157 5.5665
Se 6.6680 5.6824 14.1770
Se 6.0420 7.7844 17.2037
Se 6.4723 1.2898 8.5932
Se 3.0322 8.2147 8.5932
Se 3.4625 1.7200 17.2037
Se 8.2147 6.4723 8.6279
Se 7.7844 3.4625 0.0174
Se 1.7200 6.0420 0.0174
Se 1.2898 3.0322 8.6279
Se 6.8512 0.7151 0.0069
Se 4.0371 2.0989 8.6174
Se 5.4673 7.4055 8.6174
Se 2.6533 8.7893 0.0069
Se 7.4055 4.0371 8.6036
Se 0.7151 2.6533 17.2141
Se 8.7893 6.8512 17.2141
Se 2.0989 5.4673 8.6036
Se 4.7522 4.7522 0.0000
Se 0.0000 0.0000 8.6105
```

No. 14
## La5Mg (GGA-PBE)

Data for a geometry-optimized La5Mg structure.

Values from the calculation:
- Total energy: -26.2 eV per cell
- E_form: 0.065 eV per formula unit
- Calculated volume: 34.5 Å³/atom
- Offset from the most stable computed form: 0.3 kJ/mol of atoms
- Symmetry: No. 189

Geometry as extended XYZ:
```
6
Lattice="0.9414 3.7981 5.0119 -0.9489 2.5160 -5.7620 -5.8314 0.1131 1.0097" Properties=species:S:1:pos:R:3 pbc="T T T"
La -3.2345 2.9999 -1.6659
La -0.6475 1.7170 -3.9321
La 0.6424 2.5919 3.4202
La -0.0024 2.0052 -0.2382
La -2.6044 3.4273 1.9254
Mg -2.9157 0.0565 0.5048
```

No. 15
## U3As2Se (GGA-PBE)

Data for a geometry-optimized U3As2Se structure.

Values from the calculation:
- Total energy: -50.8 eV per cell
- E_form: -4.547 eV per formula unit
- Magnetic moment: 1.54 μB/atom
- Calculated volume: 21.8 Å³/atom
- Symmetry: No. 164

Geometry as extended XYZ:
```
6
Lattice="-0.2574 4.9566 0.2791 -3.7162 -2.7856 1.7726 2.7306 -0.1658 5.4639" Properties=species:S:1:pos:R:3 pbc="T T T"
U 1.3653 -0.0829 2.7319
U 0.8557 2.2383 5.3112
U -2.0987 -0.2331 2.2044
As -0.5059 2.3209 2.5866
As -0.7371 -0.3158 4.9290
Se 0.0000 0.0000 0.0000
```

No. 16
## MnCr3Te4 (GGA-PBE)

Data for a geometry-optimized MnCr3Te4 structure.

Values from the calculation:
- Total energy: -51.1 eV per cell
- E_form: -2.081 eV per formula unit
- Magnetic moment: 1.90 μB/atom
- Calculated volume: 23.0 Å³/atom
- Symmetry: No. 10

Geometry as extended XYZ:
```
8
Lattice="4.1454 0.0000 0.0000 0.0000 6.1728 0.0000 0.0000 0.0006 7.1785" Properties=species:S:1:pos:R:3 pbc="T T T"
Mn 0.0000 3.0864 0.0000
Cr 2.0727 3.0867 3.5892
Cr 0.0000 0.0000 0.0000
Cr 2.0727 0.0003 3.5892
Te 2.0727 4.6585 1.2070
Te 0.0000 4.6374 4.7749
Te 0.0000 1.5360 2.4036
Te 2.0727 1.5149 5.9715
```

No. 17
## TbSiPd2 (GGA-PBE)

Data for a geometry-optimized TbSiPd2 structure.

Values from the calculation:
- Total energy: -97.3 eV per cell
- E_form: -3.914 eV per formula unit
- Calculated volume: 18.0 Å³/atom
- Symmetry: No. 62

Geometry as extended XYZ:
```
16
Lattice="5.5718 0.0000 0.0000 0.0000 6.9918 0.0000 0.0000 0.0000 7.3856" Properties=species:S:1:pos:R:3 pbc="T T T"
Tb 0.7955 5.2439 3.9008
Tb 4.7764 1.7480 3.4849
Tb 3.5814 1.7480 7.1777
Tb 1.9905 5.2439 0.2079
Si 4.7702 5.2439 6.4812
Si 0.8016 1.7480 0.9044
Si 1.9843 1.7480 4.5972
Si 3.5876 5.2439 2.7884
Pd 3.3093 3.8543 5.0012
Pd 2.2626 3.1376 2.3844
Pd 0.5233 3.1376 6.0772
Pd 2.2626 0.3584 2.3844
Pd 5.0485 3.8543 1.3084
Pd 3.3093 6.6335 5.0012
Pd 5.0485 6.6335 1.3084
Pd 0.5233 0.3584 6.0772
```

No. 18
## HfMg6B (GGA-PBE)

Data for a geometry-optimized HfMg6B structure.

Values from the calculation:
- Total energy: -47.2 eV per cell
- E_form: 2.643 eV per formula unit
- Magnetic moment: 0.00 μB/atom
- Calculated volume: 20.3 Å³/atom
- Offset from the most stable computed form: 0.0 kJ/mol of atoms

Geometry as extended XYZ:
```
16
Lattice="-0.7029 4.1256 -2.1333 -3.5695 1.8904 4.8320 8.9065 4.0919 4.9785" Properties=species:S:1:pos:R:3 pbc="T T T"
Hf -0.4450 3.7850 2.2947
Hf 5.7930 4.8857 2.3679
Mg -1.8454 1.7811 4.0526
Mg -0.0986 0.8560 1.6879
Mg 2.9536 1.3570 1.6510
Mg 2.5066 4.2770 2.2736
Mg 0.7593 5.2023 4.6388
Mg 1.1635 2.7588 -0.2198
Mg 4.3925 2.8819 4.1259
Mg 2.5699 3.8471 6.5932
Mg 5.6221 4.3481 6.5563
Mg 5.1751 7.2681 7.1789
Mg 6.9973 6.3030 4.7121
Mg 3.8320 5.7499 4.6855
B 0.7049 2.0890 3.8076
B 6.9428 3.1897 3.8809
```